[1]
MnPbS2O8: relaxed, GGA+U.

Volume   658.1 Å³ per cell
Corrected total energy (MP2020 scheme)   -0.5182 Ry/atom
Final energy   -6.453 eV/atom

Lattice parameters (Å, degrees): 6.859 6.859 13.989 90.00 90.00 90.00
Atoms (fractional coordinates):
O 0.293 0.615 0.924
O 0.160 0.889 0.013
O 0.115 0.207 0.174
O 0.124 0.171 0.345
O 0.140 0.491 0.504
S 0.247 0.174 0.257
Mn 0.666 0.334 0.750
S 0.747 0.326 0.993
O 0.885 0.793 0.674
S 0.826 0.753 0.243
O 0.624 0.329 0.905
O 0.860 0.509 0.004
Mn 0.166 0.166 0.500
O 0.876 0.829 0.845
Pb 0.750 0.250 0.250
O 0.385 0.707 0.576
O 0.840 0.111 0.513
O 0.829 0.876 0.155
S 0.674 0.253 0.507
O 0.389 0.340 0.263
O 0.360 0.991 0.246
S 0.253 0.674 0.493
O 0.329 0.624 0.095
O 0.009 0.640 0.254
O 0.671 0.376 0.595
Pb 0.250 0.750 0.750
O 0.111 0.840 0.487
S 0.174 0.247 0.743
O 0.991 0.360 0.754
Pb 0.750 0.750 0.500
Mn 0.334 0.666 0.250
O 0.340 0.389 0.737
Pb 0.250 0.250 0.000
O 0.707 0.385 0.424
O 0.509 0.860 0.996
S 0.753 0.826 0.757
O 0.611 0.660 0.763
Mn 0.834 0.834 0.000
O 0.376 0.671 0.405
O 0.660 0.611 0.237
O 0.793 0.885 0.326
O 0.171 0.124 0.655
O 0.491 0.140 0.496
O 0.889 0.160 0.987
O 0.640 0.009 0.746
O 0.207 0.115 0.826
S 0.326 0.747 0.007
O 0.615 0.293 0.076


[2]
MnPbS2O8: relaxed, GGA+U.

Volume   658.2 Å³ per cell
Corrected total energy (MP2020 scheme)   -0.5182 Ry/atom
Final energy   -6.453 eV/atom

Lattice parameters (Å, degrees): 6.859 6.859 13.990 90.00 90.00 90.00
Atoms (fractional coordinates):
S 0.326 0.747 0.493
O 0.885 0.793 0.826
Pb 0.250 0.750 0.750
O 0.611 0.660 0.737
Mn 0.834 0.834 0.500
S 0.753 0.826 0.743
O 0.389 0.340 0.237
O 0.340 0.389 0.763
O 0.115 0.207 0.326
O 0.385 0.707 0.924
Mn 0.166 0.166 0.000
O 0.889 0.160 0.513
O 0.671 0.376 0.905
O 0.707 0.385 0.076
O 0.829 0.876 0.345
O 0.876 0.829 0.655
O 0.860 0.509 0.496
Pb 0.750 0.250 0.250
O 0.293 0.615 0.576
Mn 0.666 0.334 0.750
S 0.174 0.247 0.757
O 0.360 0.991 0.254
O 0.991 0.360 0.746
O 0.329 0.624 0.405
O 0.171 0.124 0.845
S 0.747 0.326 0.507
O 0.840 0.111 0.987
O 0.140 0.491 0.996
O 0.376 0.671 0.095
O 0.124 0.171 0.155
Mn 0.334 0.666 0.250
O 0.160 0.889 0.487
S 0.826 0.753 0.257
O 0.624 0.329 0.595
Pb 0.750 0.750 0.000
S 0.247 0.174 0.243
O 0.009 0.640 0.246
O 0.509 0.860 0.504
Pb 0.250 0.250 0.500
O 0.640 0.009 0.754
O 0.660 0.611 0.263
S 0.674 0.253 0.993
O 0.615 0.293 0.424
O 0.111 0.840 0.013
O 0.207 0.115 0.674
O 0.491 0.140 0.004
S 0.253 0.674 0.007
O 0.793 0.885 0.174


no.,size of the total moment (Bohr magnetons per cell)
1,20.1
2,20.0